1.
CeSe2 | PBE | optimized geometry

## Properties
space group = No. 160
density = 5.4 g cm⁻³
total moment = 0.00 μB per formula unit
ΔH_f (0 K) = -1657 meV per atom

Structure (CIF):
```
data_CeSe2
_cell_length_a 6.8086
_cell_length_b 6.8086
_cell_length_c 6.8086
_cell_angle_alpha 34.92
_cell_angle_beta 34.92
_cell_angle_gamma 34.92
_symmetry_space_group_name_H-M 'P 1'
_symmetry_Int_Tables_number 1
loop_
_symmetry_equiv_pos_as_xyz
'x,y,z'
loop_
_atom_site_label
_atom_site_type_symbol
_atom_site_fract_x
_atom_site_fract_y
_atom_site_fract_z
Ce1 Ce 0.6671 0.6671 0.6671
Se1 Se 0.2464 0.2464 0.2464
Se2 Se 0.4221 0.4221 0.4221
```

***

2.
NaGeSbO5 | PBE | optimized geometry

## Properties
space group = No. 15
density = 4.8 g cm⁻³
total moment = 0.00 μB per formula unit
E above lowest polymorph = 0.0 meV per atom
ΔH_f (0 K) = -2081 meV per atom

Structure (CIF):
```
data_NaGeSbO5
_cell_length_a 5.6697
_cell_length_b 5.6697
_cell_length_c 7.3532
_cell_angle_alpha 75.06
_cell_angle_beta 75.06
_cell_angle_gamma 105.41
_symmetry_space_group_name_H-M 'P 1'
_symmetry_Int_Tables_number 1
loop_
_symmetry_equiv_pos_as_xyz
'x,y,z'
loop_
_atom_site_label
_atom_site_type_symbol
_atom_site_fract_x
_atom_site_fract_y
_atom_site_fract_z
Na1 Na 0.3330 0.6670 0.7500
Na2 Na 0.6670 0.3330 0.2500
Ge1 Ge 0.3137 0.6863 0.2500
Ge2 Ge 0.6863 0.3137 0.7500
Sb1 Sb 0.0000 0.0000 0.5000
Sb2 Sb 0.0000 0.0000 0.0000
O1 O 0.0795 0.9205 0.7500
O2 O 0.9205 0.0795 0.2500
O3 O 0.3115 0.9053 0.3849
O4 O 0.0947 0.6885 0.1151
O5 O 0.6885 0.0947 0.6151
O6 O 0.9053 0.3115 0.8849
O7 O 0.7540 0.6297 0.5802
O8 O 0.3703 0.2460 0.9198
O9 O 0.2460 0.3703 0.4198
O10 O 0.6297 0.7540 0.0802
```

***

3.
Bi14SO24 | PBE | optimized geometry

## Properties
space group = No. 8
density = 8.2 g cm⁻³
E above lowest polymorph = 0.0 meV per atom
ΔH_f (0 K) = -1705 meV per atom

Structure (CIF):
```
data_Bi14SO24
_cell_length_a 10.6688
_cell_length_b 10.6688
_cell_length_c 8.8044
_cell_angle_alpha 65.61
_cell_angle_beta 65.61
_cell_angle_gamma 108.43
_symmetry_space_group_name_H-M 'P 1'
_symmetry_Int_Tables_number 1
loop_
_symmetry_equiv_pos_as_xyz
'x,y,z'
loop_
_atom_site_label
_atom_site_type_symbol
_atom_site_fract_x
_atom_site_fract_y
_atom_site_fract_z
Bi1 Bi 0.2160 0.2160 0.2273
Bi2 Bi 0.4692 0.1290 0.8122
Bi3 Bi 0.7208 0.0594 0.4074
Bi4 Bi 0.4448 0.4448 0.3405
Bi5 Bi 0.6595 0.3407 0.9971
Bi6 Bi 0.5607 0.5607 0.6518
Bi7 Bi 0.9419 0.2776 0.5927
Bi8 Bi 0.8697 0.5329 0.1903
Bi9 Bi 0.7883 0.7883 0.7718
Bi10 Bi 0.1290 0.4692 0.8122
Bi11 Bi 0.0594 0.7208 0.4074
Bi12 Bi 0.3407 0.6595 0.9971
Bi13 Bi 0.2776 0.9419 0.5927
Bi14 Bi 0.5329 0.8697 0.1903
S1 S 0.9753 0.9753 0.0061
O1 O 0.4979 0.0079 0.3237
O2 O 0.3958 0.2396 0.3042
O3 O 0.4559 0.2982 0.9401
O4 O 0.6722 0.1797 0.8305
O5 O 0.6190 0.3803 0.4998
O6 O 0.8799 0.1188 0.5004
O7 O 0.9777 0.1193 0.9974
O8 O 0.8223 0.3320 0.1701
O9 O 0.7007 0.5442 0.0617
O10 O 0.7625 0.6047 0.6932
O11 O 0.0079 0.4979 0.3237
O12 O 0.9908 0.5001 0.6776
O13 O 0.2396 0.3958 0.3042
O14 O 0.8099 0.8099 0.2099
O15 O 0.2982 0.4559 0.9401
O16 O 0.1797 0.6722 0.8305
O17 O 0.9934 0.9934 0.8183
O18 O 0.1188 0.8799 0.5004
O19 O 0.3803 0.6190 0.4998
O20 O 0.1193 0.9777 0.9974
O21 O 0.3320 0.8223 0.1701
O22 O 0.5442 0.7007 0.0617
O23 O 0.6047 0.7625 0.6932
O24 O 0.5001 0.9908 0.6776
```

***

4.
Mg14CrNi | PBE | optimized geometry

## Properties
space group = No. 38
density = 2.2 g cm⁻³
total moment = 3.51 μB per formula unit
E above lowest polymorph = 0.0 meV per atom
ΔH_f (0 K) = 87 meV per atom

Structure (CIF):
```
data_Mg14CrNi
_cell_length_a 6.2434
_cell_length_b 6.2538
_cell_length_c 9.8854
_cell_angle_alpha 90.00
_cell_angle_beta 90.00
_cell_angle_gamma 120.06
_symmetry_space_group_name_H-M 'P 1'
_symmetry_Int_Tables_number 1
loop_
_symmetry_equiv_pos_as_xyz
'x,y,z'
loop_
_atom_site_label
_atom_site_type_symbol
_atom_site_fract_x
_atom_site_fract_y
_atom_site_fract_z
Mg1 Mg 0.1689 0.3344 0.6250
Mg2 Mg 0.1704 0.8352 0.6250
Mg3 Mg 0.6724 0.3398 0.1250
Mg4 Mg 0.6646 0.3313 0.6250
Mg5 Mg 0.6724 0.8326 0.1250
Mg6 Mg 0.6646 0.8333 0.6250
Mg7 Mg 0.3241 0.1661 0.3580
Mg8 Mg 0.3241 0.1661 0.8920
Mg9 Mg 0.3241 0.6580 0.3580
Mg10 Mg 0.3241 0.6580 0.8920
Mg11 Mg 0.8435 0.1718 0.3645
Mg12 Mg 0.8435 0.1718 0.8855
Mg13 Mg 0.8388 0.6694 0.3741
Mg14 Mg 0.8388 0.6694 0.8759
Cr1 Cr 0.1618 0.8309 0.1250
Ni1 Ni 0.1639 0.3320 0.1250
```

***

5.
Y6NiI10 | PBE | optimized geometry

## Properties
space group = No. 2
density = 4.7 g cm⁻³
ΔH_f (0 K) = -1443 meV per atom

Structure (CIF):
```
data_Y6NiI10
_cell_length_a 7.7181
_cell_length_b 9.7047
_cell_length_c 9.7309
_cell_angle_alpha 107.34
_cell_angle_beta 97.03
_cell_angle_gamma 104.82
_symmetry_space_group_name_H-M 'P 1'
_symmetry_Int_Tables_number 1
loop_
_symmetry_equiv_pos_as_xyz
'x,y,z'
loop_
_atom_site_label
_atom_site_type_symbol
_atom_site_fract_x
_atom_site_fract_y
_atom_site_fract_z
Y1 Y 0.8877 0.9608 0.2380
Y2 Y 0.1123 0.0392 0.7620
Y3 Y 0.0293 0.7182 0.9154
Y4 Y 0.9707 0.2818 0.0846
Y5 Y 0.6563 0.8772 0.8371
Y6 Y 0.3437 0.1228 0.1629
Ni1 Ni 0.0000 0.0000 0.0000
I1 I 0.6434 0.5451 0.7260
I2 I 0.3566 0.4549 0.2740
I3 I 0.7383 0.9110 0.5353
I4 I 0.2617 0.0890 0.4647
I5 I 0.0857 0.3723 0.8186
I6 I 0.9143 0.6277 0.1814
I7 I 0.4532 0.8152 0.0931
I8 I 0.5468 0.1848 0.9069
I9 I 0.2199 0.7397 0.6514
I10 I 0.7801 0.2603 0.3486
```

***

6.
Si6O13 | PBE | optimized geometry

## Properties
space group = No. 12
density = 1.3 g cm⁻³
total moment = 2.00 μB per formula unit
E above lowest polymorph = 0.0 meV per atom
ΔH_f (0 K) = -2901 meV per atom

Structure (CIF):
```
data_Si6O13
_cell_length_a 13.2020
_cell_length_b 13.2020
_cell_length_c 10.2327
_cell_angle_alpha 76.42
_cell_angle_beta 76.42
_cell_angle_gamma 33.14
_symmetry_space_group_name_H-M 'P 1'
_symmetry_Int_Tables_number 1
loop_
_symmetry_equiv_pos_as_xyz
'x,y,z'
loop_
_atom_site_label
_atom_site_type_symbol
_atom_site_fract_x
_atom_site_fract_y
_atom_site_fract_z
Si1 Si 0.5189 0.9173 0.1522
Si2 Si 0.9173 0.5189 0.1522
Si3 Si 0.4811 0.0827 0.8478
Si4 Si 0.0827 0.4811 0.8478
Si5 Si 0.4963 0.9210 0.6446
Si6 Si 0.9210 0.4963 0.6446
Si7 Si 0.5037 0.0790 0.3554
Si8 Si 0.0790 0.5037 0.3554
Si9 Si 0.1328 0.1328 0.2827
Si10 Si 0.8672 0.8672 0.7173
Si11 Si 0.1240 0.1240 0.6076
Si12 Si 0.8760 0.8760 0.3924
O1 O 0.3414 0.9906 0.2159
O2 O 0.9906 0.3414 0.2159
O3 O 0.6586 0.0094 0.7841
O4 O 0.0094 0.6586 0.7841
O5 O 0.3313 0.9742 0.6501
O6 O 0.9742 0.3313 0.6501
O7 O 0.6687 0.0258 0.3499
O8 O 0.0258 0.6687 0.3499
O9 O 0.5518 0.9743 0.2407
O10 O 0.9743 0.5518 0.2407
O11 O 0.4482 0.0257 0.7593
O12 O 0.0257 0.4482 0.7593
O13 O 0.1264 0.1264 0.4460
O14 O 0.8736 0.8736 0.5540
O15 O 0.6967 0.6967 0.6669
O16 O 0.3033 0.3033 0.3331
O17 O 0.6936 0.6936 0.1537
O18 O 0.3064 0.3064 0.8463
O19 O 0.5000 0.0000 0.0000
O20 O 0.0000 0.5000 0.0000
O21 O 0.5000 0.0000 0.5000
O22 O 0.0000 0.5000 0.5000
O23 O 0.0734 0.0734 0.2412
O24 O 0.9266 0.9266 0.7588
O25 O 0.0585 0.0585 0.6854
O26 O 0.9415 0.9415 0.3146
```

***

7.
Ho2MgS4 | PBE | optimized geometry

## Properties
space group = No. 62
density = 4.9 g cm⁻³
total moment = 0.00 μB per formula unit
E above lowest polymorph = 239.0 meV per atom
ΔH_f (0 K) = -1935 meV per atom

Structure (CIF):
```
data_Ho2MgS4
_cell_length_a 7.2566
_cell_length_b 7.9431
_cell_length_c 11.4102
_cell_angle_alpha 90.00
_cell_angle_beta 90.00
_cell_angle_gamma 90.00
_symmetry_space_group_name_H-M 'P 1'
_symmetry_Int_Tables_number 1
loop_
_symmetry_equiv_pos_as_xyz
'x,y,z'
loop_
_atom_site_label
_atom_site_type_symbol
_atom_site_fract_x
_atom_site_fract_y
_atom_site_fract_z
Ho1 Ho 0.7500 0.0360 0.3099
Ho2 Ho 0.2500 0.9640 0.6901
Ho3 Ho 0.2500 0.4640 0.8099
Ho4 Ho 0.7500 0.5360 0.1901
Ho5 Ho 0.2500 0.0747 0.0217
Ho6 Ho 0.7500 0.9253 0.9783
Ho7 Ho 0.7500 0.4253 0.5217
Ho8 Ho 0.2500 0.5747 0.4783
Mg1 Mg 0.2500 0.1834 0.4084
Mg2 Mg 0.7500 0.8166 0.5916
Mg3 Mg 0.7500 0.3166 0.9084
Mg4 Mg 0.2500 0.6834 0.0916
S1 S 0.5004 0.1277 0.8440
S2 S 0.4996 0.8723 0.1560
S3 S 0.4996 0.3723 0.3440
S4 S 0.5004 0.6277 0.6560
S5 S 0.9996 0.6277 0.6560
S6 S 0.0004 0.3723 0.3440
S7 S 0.0004 0.8723 0.1560
S8 S 0.9996 0.1277 0.8440
S9 S 0.2500 0.8974 0.4549
S10 S 0.7500 0.1026 0.5451
S11 S 0.7500 0.6026 0.9549
S12 S 0.2500 0.3974 0.0451
S13 S 0.7500 0.2187 0.1113
S14 S 0.2500 0.7813 0.8887
S15 S 0.2500 0.2813 0.6113
S16 S 0.7500 0.7187 0.3887
```

***

8.
TlInO2 | PBE | optimized geometry

## Properties
space group = No. 166
density = 9.0 g cm⁻³
total moment = 0.00 μB per formula unit
ΔH_f (0 K) = -1493 meV per atom

Structure (CIF):
```
data_TlInO2
_cell_length_a 6.8102
_cell_length_b 6.8102
_cell_length_c 6.8102
_cell_angle_alpha 28.76
_cell_angle_beta 28.76
_cell_angle_gamma 28.76
_symmetry_space_group_name_H-M 'P 1'
_symmetry_Int_Tables_number 1
loop_
_symmetry_equiv_pos_as_xyz
'x,y,z'
loop_
_atom_site_label
_atom_site_type_symbol
_atom_site_fract_x
_atom_site_fract_y
_atom_site_fract_z
Tl1 Tl 0.0000 0.0000 0.0000
In1 In 0.5000 0.5000 0.5000
O1 O 0.2239 0.2239 0.2239
O2 O 0.7761 0.7761 0.7761
```

***

Number 1: final energy -5.65 eV/atom. Number 2: final energy -6.00 eV/atom. Number 3: final energy -5.83 eV/atom. Number 4: final energy -2.28 eV/atom. Number 5: final energy -4.74 eV/atom. Number 6: final energy -7.53 eV/atom. Number 7: final energy -5.55 eV/atom. Number 8: final energy -4.90 eV/atom.